1.
{"formula": "Na3NpO6", "functional": "GGA-PBE", "state": "relaxed", "m_tot_mub_per_atom": 0.200, "formation_enthalpy_0k_kcal_per_mol_atoms": -50.836, "e_tot_ev_per_atom": -6.453, "energy_mp2020_ev_per_atom": -6.86, "cell": [[9.136, -5.799, 0.987], [10.802, -1.175, 4.422], [0.085, -0.303, 5.990]], "species": ["Na", "Na", "Np", "O", "O", "Na", "Np", "O", "O", "Na", "O", "O", "O", "O", "O", "O", "Na", "Na", "O", "O"], "fractional_positions": [[0.617, 0.197, 0.418], [0.341, 0.658, 0.664], [0.262, 0.239, 0.233], [0.052, 0.054, 0.658], [0.192, 0.204, 0.006], [0.049, 0.636, 0.475], [0.014, 0.986, 0.988], [0.783, 0.326, 0.906], [0.339, 0.771, 0.207], [0.773, 0.410, 0.202], [0.923, 0.468, 0.262], [0.476, 0.915, 0.560], [0.687, 0.204, 0.774], [0.043, 0.567, 0.909], [0.984, 0.909, 0.328], [0.592, 0.017, 0.197], [0.586, 0.911, 0.908], [0.835, 0.481, 0.631], [0.340, 0.267, 0.467], [0.238, 0.655, 0.063]]}



2.
{"formula": "Na3NpO6", "functional": "GGA-PBE", "state": "relaxed", "m_tot_mub_per_atom": 0.200, "formation_enthalpy_0k_kcal_per_mol_atoms": -50.835, "e_tot_ev_per_atom": -6.453, "energy_mp2020_ev_per_atom": -6.86, "cell": [[3.925, -4.277, -1.504], [5.652, -0.035, 2.005], [1.788, -7.801, 8.551]], "species": ["O", "O", "O", "Na", "Na", "Na", "O", "O", "O", "Na", "O", "O", "O", "O", "Np", "Np", "Na", "Na", "O", "O"], "fractional_positions": [[0.235, 0.194, 0.109], [0.338, 0.049, 0.891], [0.480, 0.685, 0.611], [0.595, 0.341, 0.498], [0.771, 0.053, 0.816], [0.840, 0.616, 0.686], [0.347, 0.784, 0.391], [0.926, 0.985, 0.607], [0.985, 0.926, 0.107], [0.341, 0.595, 0.998], [0.048, 0.598, 0.896], [0.685, 0.480, 0.111], [0.194, 0.235, 0.609], [0.784, 0.347, 0.891], [0.013, 0.266, 0.001], [0.266, 0.013, 0.501], [0.616, 0.840, 0.186], [0.053, 0.771, 0.316], [0.598, 0.048, 0.396], [0.049, 0.338, 0.391]]}



3.
{"formula": "Na5NpO6", "functional": "GGA-PBE", "state": "relaxed", "formation_enthalpy_0k_kcal_per_mol_atoms": -56.639, "e_tot_ev_per_atom": -6.217, "energy_mp2020_ev_per_atom": -6.56, "cell": [[5.056, 2.937, 0.000], [-5.056, 2.937, 0.000], [0.000, 2.031, 5.454]], "species": ["Na", "O", "O", "O", "Na", "Na", "O", "O", "Np", "Na", "O", "Na"], "fractional_positions": [[0.170, 0.830, 0.500], [0.640, 0.926, 0.222], [0.926, 0.640, 0.222], [0.210, 0.210, 0.210], [0.667, 0.333, 0.000], [0.333, 0.667, 0.000], [0.360, 0.074, 0.778], [0.074, 0.360, 0.778], [0.000, 0.000, 0.000], [0.830, 0.170, 0.500], [0.790, 0.790, 0.790], [0.500, 0.500, 0.500]]}



4.
{"formula": "Na3NpO8", "functional": "GGA-PBE", "state": "relaxed", "m_tot_mub_per_atom": 0.000, "formation_enthalpy_0k_kcal_per_mol_atoms": -39.342, "e_tot_ev_per_atom": -6.307, "energy_mp2020_ev_per_atom": -6.41, "cell": [[-0.543, 3.544, 7.461], [-6.207, -1.313, 0.172], [-2.443, -6.360, 2.844]], "species": ["O", "O", "Np", "O", "O", "O", "Na", "O", "O", "Na", "O", "O", "Na", "O", "Na", "O", "Na", "O", "Na", "O", "O", "O", "Np", "O"], "fractional_positions": [[0.033, 0.801, 0.876], [0.072, 0.691, 0.362], [0.500, 0.000, 0.500], [0.031, 0.513, 0.323], [0.533, 0.199, 0.624], [0.572, 0.309, 0.138], [0.500, 0.000, 0.000], [0.531, 0.487, 0.177], [0.967, 0.199, 0.124], [0.794, 0.564, 0.975], [0.783, 0.892, 0.064], [0.428, 0.691, 0.862], [0.706, 0.564, 0.475], [0.928, 0.309, 0.638], [0.206, 0.436, 0.025], [0.969, 0.487, 0.677], [0.000, 0.000, 0.500], [0.469, 0.513, 0.823], [0.294, 0.436, 0.525], [0.217, 0.108, 0.936], [0.467, 0.801, 0.376], [0.283, 0.108, 0.436], [0.000, 0.000, 0.000], [0.717, 0.892, 0.564]]}



5.
{"formula": "NaO5", "functional": "GGA-PBE", "state": "relaxed", "m_tot_mub_per_atom": 0.407, "formation_enthalpy_0k_kcal_per_mol_atoms": -1.319, "e_tot_ev_per_atom": -4.267, "energy_mp2020_ev_per_atom": -4.40, "relative_energy_mev_per_atom": 44, "cell": [[6.077, 1.604, -4.972], [-6.077, 1.604, 4.972], [-1.303, 0.000, 10.169]], "species": ["Na", "O", "O", "Na", "O", "O", "O", "O", "O", "O", "O", "O"], "fractional_positions": [[0.586, 0.414, 0.929], [0.384, 0.616, 0.804], [0.114, 0.886, 0.189], [0.414, 0.586, 0.071], [0.754, 0.246, 0.971], [0.046, 0.954, 0.396], [0.954, 0.046, 0.604], [0.886, 0.114, 0.811], [0.872, 0.128, 0.429], [0.246, 0.754, 0.029], [0.128, 0.872, 0.571], [0.616, 0.384, 0.196]]}



6.
{"formula": "NaO3", "functional": "GGA-PBE", "state": "relaxed", "piezo_max_c_m2": 0.42, "m_tot_mub_per_atom": 0.250, "formation_enthalpy_0k_kcal_per_mol_atoms": -13.854, "e_tot_ev_per_atom": -4.642, "cell": [[-1.820, 2.686, 2.847], [1.820, -2.686, 2.847], [1.820, 2.686, -2.847]], "species": ["O", "Na", "O", "O"], "fractional_positions": [[0.959, 0.959, 0.000], [0.483, 0.483, 0.000], [0.880, 0.091, 0.788], [0.303, 0.091, 0.212]]}